! PBE-GGA SrHg, optimized geometry; values from VASP
&SYSTEM
  ibrav = 0, nat = 2, ntyp = 2
/
ATOMIC_SPECIES
Sr 87.62 Sr.upf
Hg 200.59 Hg.upf
ATOMIC_POSITIONS crystal
Sr 0.000 0.000 0.000
Hg 0.500 0.500 0.500
CELL_PARAMETERS angstrom
4.028 0.000 0.000
0.000 4.028 0.000
0.000 0.000 4.028
! space group	Pm-3m (221)
! energy of formation	-0.5303	eV per atom